(1)
VASP calculation (PBE-GGA) on crystalline Tl3Cu4As8Pb3S20 at its relaxed geometry.

a b c (Å): 7.7774 9.4351 14.3893
angles (deg): 75.21 77.57 70.50
With the nearest neighbours (Å) after each atom.
Fractional coordinates of all 38 atoms:
Tl (0.3923, 0.2260, 0.9132)  4 S 3.02-3.38, 1 As 3.34
Tl (0.1182, 0.2904, 0.5888)  3 S 3.06-3.22
Tl (0.5034, 0.1923, 0.2218)  4 S 2.90-3.07
Cu (0.5222, 0.4596, 0.6014)  4 S 2.30-2.36
Cu (0.0323, 0.9647, 0.0996)  4 S 2.26-2.36
Cu (0.9562, 0.0432, 0.9045)  4 S 2.29-2.37
Cu (0.4797, 0.5258, 0.3972)  4 S 2.27-2.37
As (0.1120, 0.6604, 0.9654)  3 S 2.19-2.41
As (0.6122, 0.1410, 0.4884)  3 S 2.29-2.31
As (0.7255, 0.3902, 0.8118)  3 S 2.26-2.33
As (0.7675, 0.1059, 0.7014)  3 S 2.24-2.35
As (0.2379, 0.8895, 0.3045)  3 S 2.22-2.32
As (0.2668, 0.6066, 0.1877)  3 S 2.25-2.30
As (0.3956, 0.8437, 0.5162)  3 S 2.22-2.33
As (0.8902, 0.3590, 0.0262)  3 S 2.23-2.35
Pb (0.4882, 0.7974, 0.7673)  3 S 2.76-2.90
Pb (0.8967, 0.7515, 0.3953)  2 S 2.73-2.77
Pb (0.5941, 0.7443, 0.1011)  2 S 2.69-2.80
S (0.2731, 0.5820, 0.8331)  1 As 2.19
S (0.2158, 0.8643, 0.9638)  1 As 2.31, 2 Cu 2.32-2.36
S (0.4625, 0.2410, 0.6969)  1 As 2.29, 1 Cu 2.30
S (0.7050, 0.5578, 0.6644)  1 As 2.30, 1 Cu 2.36
S (0.7835, 0.0648, 0.3497)  1 As 2.29
S (0.7089, 0.5452, 0.9185)  2 As 2.32-2.33
S (0.7854, 0.9473, 0.5954)  2 As 2.31-2.35
S (0.7146, 0.3507, 0.4724)  2 Cu 2.27-2.34, 1 As 2.31
S (0.7652, 0.9500, 0.8478)  1 As 2.24, 1 Cu 2.33
S (0.0274, 0.2573, 0.8098)  1 As 2.26, 1 Cu 2.29
S (0.9617, 0.7503, 0.1983)  1 As 2.30, 1 Cu 2.31
S (0.2344, 0.0429, 0.1589)  1 As 2.22, 1 Cu 2.33
S (0.2841, 0.6405, 0.5260)  2 Cu 2.31-2.37, 1 As 2.32
S (0.2323, 0.0416, 0.4054)  2 As 2.27-2.33
S (0.2685, 0.4587, 0.0868)  2 As 2.25-2.41
S (0.2255, 0.9373, 0.6446)  1 As 2.22
S (0.2898, 0.4437, 0.3328)  1 As 2.26, 1 Cu 2.31
S (0.5453, 0.7459, 0.2994)  1 As 2.32, 1 Cu 2.34
S (0.7844, 0.1468, 0.0421)  2 Cu 2.26-2.37, 1 As 2.35
S (0.7414, 0.4410, 0.1625)  1 As 2.23

SG: No. 1
Magnetization: 0.999 μB/cell
Formation energy from the elements: -451 meV per atom

---

(2)
VASP calculation (PBE-GGA) on crystalline Cu12As4S13 at its relaxed geometry.

a b c (Å): 8.7739 8.7822 8.8707
angles (deg): 109.49 109.48 108.99
With the nearest neighbours (Å) after each atom.
Fractional coordinates of all 29 atoms:
Cu (0.7501, 0.4995, 0.2490)  4 S 2.30
Cu (0.7498, 0.2506, 0.4993)  4 S 2.30-2.31
Cu (0.4996, 0.2498, 0.7498)  4 S 2.31-2.32
Cu (0.2512, 0.7509, 0.5015)  4 S 2.28-2.30
Cu (0.2484, 0.4990, 0.7502)  4 S 2.29-2.31
Cu (0.4997, 0.7498, 0.2500)  4 S 2.28-2.29
Cu (0.2019, 0.9624, 0.2027)  3 S 2.24-2.26
Cu (0.7587, 0.7982, 0.0018)  3 S 2.23-2.26
Cu (0.0437, 0.2423, 0.2413)  3 S 2.24-2.27
Cu (0.7992, 0.9942, 0.7557)  3 S 2.24-2.27
Cu (0.2375, 0.2407, 0.0413)  3 S 2.24-2.27
Cu (0.9979, 0.8010, 0.7572)  3 S 2.25-2.27
As (0.9973, 0.9975, 0.5247)  3 S 2.30
As (0.0026, 0.5284, 0.0027)  3 S 2.28-2.32
As (0.4726, 0.4751, 0.4728)  3 S 2.28-2.31
As (0.5253, 0.9968, 0.9999)  3 S 2.30
S (0.4792, 0.9993, 0.2405)  3 Cu 2.24-2.31, 1 As 2.30
S (0.5209, 0.5233, 0.7615)  3 Cu 2.25-2.31, 1 As 2.31
S (0.0037, 0.4820, 0.2429)  3 Cu 2.24-2.30, 1 As 2.30
S (0.5212, 0.7623, 0.5181)  3 Cu 2.24-2.29, 1 As 2.28
S (0.4800, 0.2414, 0.0018)  3 Cu 2.27-2.32, 1 As 2.30
S (0.0027, 0.2422, 0.4798)  3 Cu 2.26-2.31, 1 As 2.30
S (0.7625, 0.2389, 0.7593)  3 Cu 2.27-2.31, 1 As 2.32
S (0.7583, 0.7599, 0.2381)  3 Cu 2.23-2.30, 1 As 2.30
S (0.2381, 0.7604, 0.7582)  3 Cu 2.25-2.31, 1 As 2.30
S (0.2408, 0.9992, 0.4787)  3 Cu 2.25-2.31, 1 As 2.30
S (0.2435, 0.4816, 0.0020)  3 Cu 2.24-2.30, 1 As 2.28
S (0.7617, 0.5222, 0.5185)  3 Cu 2.25-2.30, 1 As 2.30
S (0.9982, 0.9975, 0.0005)  6 Cu 2.26-2.27

E above lowest polymorph: 0.002 eV per atom
SG: No. 1
Magnetization: 1.824 μB/cell
Formation energy from the elements: -428 meV per atom

---

(3)
VASP calculation (PBE-GGA) on crystalline Cu3AsS3 at its relaxed geometry.

a b c (Å): 8.6303 8.6303 8.6303
angles (deg): 109.47 109.47 109.47
With the nearest neighbours (Å) after each atom.
Fractional coordinates of all 28 atoms:
Cu (0.2500, 0.7500, 0.5000)  4 S 2.30
Cu (0.5000, 0.2500, 0.7500)  4 S 2.30
Cu (0.5000, 0.7500, 0.2500)  4 S 2.30
Cu (0.2500, 0.5000, 0.7500)  4 S 2.30
Cu (0.7500, 0.5000, 0.2500)  4 S 2.30
Cu (0.7500, 0.2500, 0.5000)  4 S 2.30
Cu (0.1821, 0.1821, 0.0000)  2 S 2.34, 4 Cu 2.57
Cu (0.0000, 0.8179, 0.8179)  2 S 2.34, 4 Cu 2.57
Cu (0.0000, 0.1821, 0.1821)  2 S 2.34, 4 Cu 2.57
Cu (0.1821, 0.0000, 0.1821)  2 S 2.34, 4 Cu 2.57
Cu (0.8179, 0.0000, 0.8179)  2 S 2.34, 4 Cu 2.57
Cu (0.8179, 0.8179, 0.0000)  2 S 2.34, 4 Cu 2.57
As (0.5255, 0.5255, 0.5255)  3 S 2.28
As (0.0000, 0.0000, 0.4745)  3 S 2.28
As (0.4745, 0.0000, 0.0000)  3 S 2.28
As (0.0000, 0.4745, 0.0000)  3 S 2.28
S (0.4666, 0.2280, 0.4666)  1 As 2.28, 3 Cu 2.30-2.34
S (0.7614, 0.0000, 0.5334)  1 As 2.28, 3 Cu 2.30-2.34
S (0.5334, 0.0000, 0.7614)  1 As 2.28, 3 Cu 2.30-2.34
S (0.7614, 0.5334, 0.0000)  1 As 2.28, 3 Cu 2.30-2.34
S (0.2386, 0.2386, 0.7720)  1 As 2.28, 3 Cu 2.30-2.34
S (0.7720, 0.2386, 0.2386)  1 As 2.28, 3 Cu 2.30-2.34
S (0.0000, 0.5334, 0.7614)  1 As 2.28, 3 Cu 2.30-2.34
S (0.0000, 0.7614, 0.5334)  1 As 2.28, 3 Cu 2.30-2.34
S (0.5334, 0.7614, 0.0000)  1 As 2.28, 3 Cu 2.30-2.34
S (0.4666, 0.4666, 0.2280)  1 As 2.28, 3 Cu 2.30-2.34
S (0.2280, 0.4666, 0.4666)  1 As 2.28, 3 Cu 2.30-2.34
S (0.2386, 0.7720, 0.2386)  1 As 2.28, 3 Cu 2.30-2.34

SG: No. 217
Magnetization: 0.652 μB/cell
Formation energy from the elements: -379 meV per atom

---

(4)
VASP calculation (PBE-GGA) on crystalline Cu12As4S13 at its relaxed geometry.

a b c (Å): 8.8437 8.8437 8.8437
angles (deg): 109.47 109.47 109.47
With the nearest neighbours (Å) after each atom.
Fractional coordinates of all 29 atoms:
Cu (0.2500, 0.5000, 0.7500)  4 S 2.30
Cu (0.5000, 0.7500, 0.2500)  4 S 2.30
Cu (0.5000, 0.2500, 0.7500)  4 S 2.30
Cu (0.7500, 0.2500, 0.5000)  4 S 2.30
Cu (0.2500, 0.7500, 0.5000)  4 S 2.30
Cu (0.7500, 0.5000, 0.2500)  4 S 2.30
Cu (0.2212, 0.0000, 0.2212)  3 S 2.24-2.26
Cu (0.0000, 0.7788, 0.7788)  3 S 2.24-2.26
Cu (0.0000, 0.2212, 0.2212)  3 S 2.24-2.26
Cu (0.7788, 0.7788, 0.0000)  3 S 2.24-2.26
Cu (0.2212, 0.2212, 0.0000)  3 S 2.24-2.26
Cu (0.7788, 0.0000, 0.7788)  3 S 2.24-2.26
As (0.0000, 0.0000, 0.5275)  3 S 2.30
As (0.5275, 0.0000, 0.0000)  3 S 2.30
As (0.0000, 0.5275, 0.0000)  3 S 2.30
As (0.4725, 0.4725, 0.4725)  3 S 2.30
S (0.7592, 0.7592, 0.2392)  3 Cu 2.24-2.30, 1 As 2.30
S (0.4800, 0.2408, 0.0000)  3 Cu 2.24-2.30, 1 As 2.30
S (0.2408, 0.4800, 0.0000)  3 Cu 2.24-2.30, 1 As 2.30
S (0.5200, 0.7608, 0.5200)  3 Cu 2.24-2.30, 1 As 2.30
S (0.4800, 0.0000, 0.2408)  3 Cu 2.24-2.30, 1 As 2.30
S (0.0000, 0.4800, 0.2408)  3 Cu 2.24-2.30, 1 As 2.30
S (0.7608, 0.5200, 0.5200)  3 Cu 2.24-2.30, 1 As 2.30
S (0.2392, 0.7592, 0.7592)  3 Cu 2.24-2.30, 1 As 2.30
S (0.7592, 0.2392, 0.7592)  3 Cu 2.24-2.30, 1 As 2.30
S (0.2408, 0.0000, 0.4800)  3 Cu 2.24-2.30, 1 As 2.30
S (0.0000, 0.2408, 0.4800)  3 Cu 2.24-2.30, 1 As 2.30
S (0.5200, 0.5200, 0.7608)  3 Cu 2.24-2.30, 1 As 2.30
S (0.0000, 0.0000, 0.0000)  6 Cu 2.26

E above lowest polymorph: 0.000 eV per atom
SG: No. 217
Formation energy from the elements: -430 meV per atom

---

(5)
VASP calculation (PBE-GGA) on crystalline Cu9SbAs2S12 at its relaxed geometry.

a b c (Å): 16.4635 16.4635 16.4635
angles (deg): 161.31 161.31 26.55
With the nearest neighbours (Å) after each atom.
Fractional coordinates of all 24 atoms:
Cu (0.2500, 0.7500, 0.5000)  4 S 2.30
Cu (0.9145, 0.4145, 0.5000)  4 S 2.29
Cu (0.5855, 0.0855, 0.5000)  4 S 2.29
Cu (0.7500, 0.2500, 0.5000)  4 S 2.30
Cu (0.4145, 0.9145, 0.5000)  4 S 2.29
Cu (0.0855, 0.5855, 0.5000)  4 S 2.29
Cu (0.1673, 0.1673, 0.0000)  4 S 2.31-2.33
Cu (0.8327, 0.8327, 0.0000)  4 S 2.31-2.33
Cu (0.5000, 0.5000, 0.0000)  4 S 2.30
Sb (0.0000, 0.0000, 0.0000)  4 S 2.46
As (0.6673, 0.6673, 0.0000)  4 S 2.31-2.32
As (0.3327, 0.3327, 0.0000)  4 S 2.31-2.32
S (0.4605, 0.9579, 0.0000)  3 Cu 2.30-2.33, 1 As 2.31
S (0.1233, 0.6253, 0.0000)  3 Cu 2.29-2.31, 1 As 2.32
S (0.7824, 0.3079, 0.0000)  3 Cu 2.29-2.30, 1 Sb 2.46
S (0.9579, 0.4605, 0.0000)  3 Cu 2.30-2.33, 1 As 2.31
S (0.6253, 0.1233, 0.0000)  3 Cu 2.29-2.31, 1 As 2.32
S (0.3079, 0.7824, 0.0000)  3 Cu 2.29-2.30, 1 Sb 2.46
S (0.5395, 0.5395, 0.4975)  3 Cu 2.30-2.33, 1 As 2.31
S (0.2176, 0.2176, 0.5255)  3 Cu 2.29-2.30, 1 Sb 2.46
S (0.8767, 0.8767, 0.5019)  3 Cu 2.29-2.31, 1 As 2.32
S (0.0421, 0.0421, 0.5025)  3 Cu 2.30-2.33, 1 As 2.31
S (0.6921, 0.6921, 0.4745)  3 Cu 2.29-2.30, 1 Sb 2.46
S (0.3747, 0.3747, 0.4981)  3 Cu 2.29-2.31, 1 As 2.32

SG: No. 121
Magnetization: 0.013 μB/cell
Formation energy from the elements: -456 meV per atom

---

(6)
VASP calculation (PBE-GGA) on crystalline VCu12As3S16 at its relaxed geometry.

a b c (Å): 10.5842 10.5842 10.5842
angles (deg): 90.08 90.08 90.08
With the nearest neighbours (Å) after each atom.
Fractional coordinates of all 64 atoms:
V (0.4998, 0.4998, 0.4998)  4 S 2.20-2.22
V (0.9998, 0.9998, 0.9998)  4 S 2.20-2.22
Cu (0.4992, 0.4990, 0.2411)  4 S 2.29-2.33
Cu (0.7570, 0.5004, 0.5006)  4 S 2.30-2.32
Cu (0.4990, 0.2411, 0.4992)  4 S 2.29-2.33
Cu (0.2411, 0.4992, 0.4990)  4 S 2.29-2.33
Cu (0.5006, 0.7570, 0.5004)  4 S 2.30-2.32
Cu (0.5004, 0.5006, 0.7570)  4 S 2.30-2.32
Cu (0.7411, 0.9990, 0.9992)  4 S 2.29-2.33
Cu (0.0006, 0.0004, 0.2570)  4 S 2.30-2.32
Cu (0.9992, 0.7411, 0.9990)  4 S 2.29-2.33
Cu (0.9990, 0.9992, 0.7411)  4 S 2.29-2.33
Cu (0.0004, 0.2570, 0.0006)  4 S 2.30-2.32
Cu (0.2570, 0.0006, 0.0004)  4 S 2.30-2.32
Cu (0.4992, 0.0012, 0.2515)  4 S 2.28-2.29
Cu (0.7515, 0.5012, 0.9992)  4 S 2.28-2.29
Cu (0.0012, 0.2515, 0.4992)  4 S 2.28-2.29
Cu (0.2515, 0.4992, 0.0012)  4 S 2.28-2.29
Cu (0.9992, 0.7515, 0.5012)  4 S 2.28-2.29
Cu (0.5012, 0.9992, 0.7515)  4 S 2.28-2.29
Cu (0.7505, 0.2494, 0.2493)  4 S 2.26-2.37
Cu (0.2493, 0.7505, 0.2494)  4 S 2.26-2.37
Cu (0.2494, 0.2493, 0.7505)  4 S 2.26-2.37
Cu (0.7493, 0.7494, 0.2505)  4 S 2.26-2.37
Cu (0.7494, 0.2505, 0.7493)  4 S 2.26-2.37
Cu (0.2505, 0.7493, 0.7494)  4 S 2.26-2.37
As (0.0019, 0.4981, 0.2539)  4 S 2.21-2.29
As (0.7539, 0.9981, 0.5019)  4 S 2.21-2.29
As (0.4981, 0.2539, 0.0019)  4 S 2.21-2.29
As (0.2539, 0.0019, 0.4981)  4 S 2.21-2.29
As (0.5019, 0.7539, 0.9981)  4 S 2.21-2.29
As (0.9981, 0.5019, 0.7539)  4 S 2.21-2.29
S (0.8724, 0.3775, 0.1282)  3 Cu 2.27-2.30, 1 As 2.29
S (0.8724, 0.1283, 0.3766)  3 Cu 2.26-2.30, 1 As 2.29
S (0.6222, 0.1284, 0.1275)  3 Cu 2.27-2.30, 1 As 2.29
S (0.1275, 0.6222, 0.1284)  3 Cu 2.27-2.30, 1 As 2.29
S (0.1282, 0.8724, 0.3775)  3 Cu 2.27-2.30, 1 As 2.29
S (0.3766, 0.8724, 0.1283)  3 Cu 2.26-2.30, 1 As 2.29
S (0.1283, 0.3766, 0.8724)  3 Cu 2.26-2.30, 1 As 2.29
S (0.1284, 0.1275, 0.6222)  3 Cu 2.27-2.30, 1 As 2.29
S (0.3775, 0.1282, 0.8724)  3 Cu 2.27-2.30, 1 As 2.29
S (0.8729, 0.6233, 0.8683)  1 As 2.21, 2 Cu 2.29
S (0.8683, 0.8729, 0.6233)  1 As 2.21, 2 Cu 2.29
S (0.6233, 0.8683, 0.8729)  1 As 2.21, 2 Cu 2.29
S (0.6282, 0.8775, 0.3724)  3 Cu 2.27-2.30, 1 As 2.29
S (0.8766, 0.6283, 0.3724)  3 Cu 2.26-2.30, 1 As 2.29
S (0.6275, 0.6284, 0.1222)  3 Cu 2.27-2.30, 1 As 2.29
S (0.6284, 0.1222, 0.6275)  3 Cu 2.27-2.30, 1 As 2.29
S (0.8775, 0.3724, 0.6282)  3 Cu 2.27-2.30, 1 As 2.29
S (0.6283, 0.3724, 0.8766)  3 Cu 2.26-2.30, 1 As 2.29
S (0.3724, 0.8766, 0.6283)  3 Cu 2.26-2.30, 1 As 2.29
S (0.1222, 0.6275, 0.6284)  3 Cu 2.27-2.30, 1 As 2.29
S (0.3724, 0.6282, 0.8775)  3 Cu 2.27-2.30, 1 As 2.29
S (0.3683, 0.1233, 0.3729)  1 As 2.21, 2 Cu 2.29
S (0.1233, 0.3729, 0.3683)  1 As 2.21, 2 Cu 2.29
S (0.3729, 0.3683, 0.1233)  1 As 2.21, 2 Cu 2.29
S (0.6210, 0.3786, 0.3789)  1 V 2.22, 4 Cu 2.32-2.37
S (0.3789, 0.6210, 0.3786)  1 V 2.22, 4 Cu 2.32-2.37
S (0.3786, 0.3789, 0.6210)  1 V 2.22, 4 Cu 2.32-2.37
S (0.6201, 0.6201, 0.6201)  1 V 2.20, 3 Cu 2.30
S (0.8789, 0.8786, 0.1210)  1 V 2.22, 4 Cu 2.32-2.37
S (0.8786, 0.1210, 0.8789)  1 V 2.22, 4 Cu 2.32-2.37
S (0.1210, 0.8789, 0.8786)  1 V 2.22, 4 Cu 2.32-2.37
S (0.1201, 0.1201, 0.1201)  1 V 2.20, 3 Cu 2.30

SG: No. 161
Magnetization: 0.000 μB/cell
Formation energy from the elements: -542 meV per atom